Entry 1:
PBE-GGA Te2Mo2WSe4, relaxed; V = 35.0 Å³/atom; E above lowest polymorph = 27 meV/atom; total energy = -58.96 eV/cell; total energy after the MP2020 corrections = -6.76 eV per atom; energy of formation from the pure elements = -659.0 meV/atom; theoretical density = 4.989 g cm⁻³
1.0
3.404 0.000 0.000
-1.702 2.948 0.000
0.000 0.000 31.401
Te Mo W Se
2 2 1 4
direct
0.000 0.000 0.000
0.000 0.000 0.120
0.000 0.000 0.829
0.667 0.333 0.597
0.667 0.333 0.060
0.000 0.000 0.545
0.000 0.000 0.650
0.667 0.333 0.776
0.667 0.333 0.881

***

Entry 2:
PBE-GGA CrSe, relaxed; V = 18.9 Å³/atom; total energy = -27.51 eV/cell; total energy after the MP2020 corrections = -7.11 eV per atom; energy of formation from the pure elements = -538.5 meV/atom; theoretical density = 5.738 g cm⁻³
1.0
3.777 0.000 0.000
-1.888 3.271 0.000
0.000 0.000 6.136
Cr Se
2 2
direct
0.000 0.000 0.000
0.000 0.000 0.500
0.333 0.667 0.250
0.667 0.333 0.750

***

Entry 3:
PBE-GGA Cu2GeI6, relaxed; V = 36.3 Å³/atom; total energy = -17.61 eV/cell; total energy after the MP2020 corrections = -2.21 eV per atom; energy of formation from the pure elements = 231.3 meV/atom; theoretical density = 4.881 g cm⁻³
1.0
0.000 5.468 5.468
5.468 0.000 5.468
5.468 5.468 0.000
Cu Ge I
2 1 6
direct
0.250 0.250 0.250
0.750 0.750 0.750
0.000 0.000 0.000
0.249 0.249 0.751
0.249 0.751 0.249
0.249 0.751 0.751
0.751 0.249 0.249
0.751 0.249 0.751
0.751 0.751 0.249

***

Entry 4:
PBE-GGA Na4ScInSiP2O12, relaxed; V = 13.1 Å³/atom; total energy = -841.64 eV/cell; total energy after the MP2020 corrections = -7.07 eV per atom; energy of formation from the pure elements = -2786.4 meV/atom; theoretical density = 3.224 g cm⁻³
1.0
9.182 0.000 0.000
4.588 7.956 0.000
0.024 0.014 22.577
Na Sc In Si P O
24 6 6 6 12 72
direct
0.000 0.000 0.000
0.001 0.374 0.499
0.034 0.663 0.584
0.034 0.677 0.083
0.038 0.295 0.830
0.039 0.040 0.331
0.072 0.975 0.670
0.074 0.328 0.171
0.335 0.705 0.166
0.336 0.333 0.666
0.362 0.006 0.750
0.363 0.007 0.250
0.375 0.363 0.997
0.378 0.635 0.499
0.398 0.302 0.332
0.400 0.672 0.832
0.677 0.034 0.837
0.679 0.663 0.338
0.710 0.324 0.916
0.711 0.340 0.417
0.711 0.696 0.663
0.711 0.967 0.162
0.738 0.997 0.502
0.739 0.641 0.001
0.034 0.677 0.933
0.040 0.669 0.733
0.373 0.000 0.400
0.373 0.002 0.899
0.374 0.999 0.600
0.712 0.339 0.566
0.036 0.666 0.433
0.039 0.667 0.235
0.372 0.001 0.098
0.710 0.326 0.067
0.713 0.330 0.765
0.714 0.331 0.265
0.008 0.334 0.666
0.010 0.030 0.166
0.040 0.366 0.334
0.040 0.964 0.833
0.669 0.704 0.500
0.670 0.000 0.999
0.076 0.300 0.999
0.078 0.000 0.500
0.333 0.374 0.833
0.338 0.667 0.334
0.374 0.702 0.999
0.375 0.295 0.500
0.408 0.335 0.167
0.410 0.629 0.667
0.705 0.038 0.666
0.705 0.632 0.166
0.739 0.968 0.334
0.744 0.668 0.833
0.004 0.483 0.392
0.014 0.873 0.891
0.023 0.505 0.671
0.026 0.843 0.171
0.061 0.475 0.993
0.065 0.837 0.496
0.068 0.848 0.774
0.078 0.445 0.274
0.159 0.028 0.444
0.164 0.183 0.945
0.179 0.226 0.057
0.187 0.975 0.555
0.196 0.166 0.661
0.197 0.014 0.163
0.209 0.178 0.339
0.209 0.984 0.837
0.219 0.475 0.497
0.219 0.676 0.993
0.224 0.457 0.777
0.228 0.701 0.278
0.231 0.494 0.170
0.234 0.646 0.671
0.249 0.481 0.889
0.258 0.638 0.390
0.338 0.809 0.056
0.347 0.211 0.555
0.353 0.195 0.837
0.357 0.826 0.339
0.391 0.807 0.661
0.394 0.174 0.163
0.397 0.189 0.444
0.397 0.792 0.945
0.486 0.367 0.111
0.497 0.515 0.612
0.510 0.359 0.829
0.513 0.506 0.329
0.515 0.310 0.223
0.516 0.554 0.724
0.537 0.308 0.505
0.538 0.528 0.003
0.547 0.809 0.163
0.548 0.016 0.660
0.549 0.027 0.942
0.553 0.793 0.441
0.564 0.981 0.340
0.568 0.830 0.838
0.578 0.821 0.558
0.594 0.964 0.060
0.668 0.147 0.723
0.673 0.554 0.222
0.683 0.173 0.000
0.686 0.516 0.504
0.714 0.147 0.329
0.720 0.512 0.830
0.731 0.125 0.612
0.731 0.524 0.110
0.816 0.859 0.278
0.829 0.691 0.778
0.853 0.892 0.389
0.855 0.640 0.889
0.856 0.690 0.499
0.859 0.831 0.995
0.867 0.150 0.832
0.867 0.645 0.170
0.867 0.863 0.671
0.868 0.352 0.331
0.885 0.364 0.610
0.894 0.109 0.107
0.898 0.320 0.002
0.899 0.156 0.505
0.931 0.146 0.226
0.933 0.294 0.726

***

Entry 5:
PBE-GGA In2As2Cl2O5, relaxed; V = 18.9 Å³/atom; total energy = -115.70 eV/cell; total energy after the MP2020 corrections = -5.57 eV per atom; energy of formation from the pure elements = -1638.7 meV/atom; theoretical density = 4.227 g cm⁻³
1.0
6.844 0.000 0.000
-1.610 7.461 0.000
-2.342 -3.469 8.160
In As Cl O
4 4 4 10
direct
0.099 0.305 0.476
0.352 0.776 0.338
0.648 0.224 0.662
0.901 0.695 0.524
0.202 0.229 0.797
0.390 0.845 0.752
0.610 0.155 0.248
0.798 0.771 0.203
0.254 0.711 0.045
0.264 0.390 0.282
0.736 0.610 0.718
0.746 0.289 0.955
0.042 0.788 0.350
0.161 0.959 0.732
0.186 0.621 0.615
0.338 0.269 0.657
0.492 0.906 0.605
0.508 0.094 0.395
0.662 0.731 0.343
0.814 0.379 0.385
0.839 0.041 0.268
0.958 0.212 0.650

***

Entry 6:
PBE-GGA Sc2PdAu, relaxed; V = 19.1 Å³/atom; total energy = -24.51 eV/cell; energy of formation from the pure elements = -847.7 meV/atom; theoretical density = 8.558 g cm⁻³
1.0
0.000 3.367 3.367
3.367 0.000 3.367
3.367 3.367 0.000
Sc Pd Au
2 1 1
direct
0.250 0.250 0.250
0.750 0.750 0.750
0.000 0.000 0.000
0.500 0.500 0.500

***

Entry 7:
PBE-GGA Rb2CrCl4, relaxed; V = 30.0 Å³/atom; E above lowest polymorph = 3 meV/atom; total energy = -29.87 eV/cell; total energy after the MP2020 corrections = -4.62 eV per atom; energy of formation from the pure elements = -1903.2 meV/atom; theoretical density = 2.885 g cm⁻³
1.0
-2.540 2.540 8.136
2.540 -2.540 8.136
2.540 2.540 -8.136
Rb Cr Cl
2 1 4
direct
0.139 0.139 0.000
0.861 0.861 0.000
0.500 0.500 0.000
0.000 0.500 0.500
0.350 0.350 0.000
0.500 0.000 0.500
0.650 0.650 0.000

***

Entry 8:
PBE-GGA LiAgF2, relaxed; V = 12.8 Å³/atom; E above lowest polymorph = 41 meV/atom; total energy = -32.37 eV/cell; total energy after the MP2020 corrections = -4.28 eV per atom; energy of formation from the pure elements = -2134.3 meV/atom; theoretical density = 4.938 g cm⁻³
1.0
1.565 -5.732 0.000
1.565 5.732 0.000
0.000 0.000 5.727
Li Ag F
2 2 4
direct
0.106 0.894 0.750
0.894 0.106 0.250
0.370 0.630 0.750
0.630 0.370 0.250
0.000 0.000 0.000
0.000 0.000 0.500
0.302 0.698 0.250
0.698 0.302 0.750

***

What is the formula in the sixth record?
Sc2PdAu